Density functional theory data (PBE) for a relaxed structure of LiMg6Mn.

Unit cell a=4.9657 b=6.3218 c=10.7305 alpha=90.00 beta=90.00 gamma=90.00
Last column: nearest neighbours and their distance in Å.
Atoms (fractional coordinates):
Li (0.5000, 0.5000, 0.8342)  10 Mg 3.05-3.13, 2 Mn 3.16
Li (0.5000, 0.0000, 0.3342)  10 Mg 3.05-3.13, 2 Mn 3.16
Mg (0.5000, 0.2511, 0.0830)  8 Mg 3.08-3.17, 2 Li 3.10-3.13, 2 Mn 3.11-3.12
Mg (0.5000, 0.7489, 0.0830)  8 Mg 3.08-3.17, 2 Li 3.10-3.13, 2 Mn 3.11-3.12
Mg (0.0000, 0.2466, 0.9135)  8 Mg 3.04-3.20, 2 Mn 3.05, 2 Li 3.07
Mg (0.0000, 0.7534, 0.9135)  8 Mg 3.04-3.20, 2 Mn 3.05, 2 Li 3.07
Mg (0.0000, 0.5000, 0.1706)  10 Mg 3.04-3.19, 2 Mn 3.04
Mg (0.0000, 0.5000, 0.6683)  2 Li 3.05, 10 Mg 3.08-3.16
Mg (0.5000, 0.7511, 0.5830)  8 Mg 3.08-3.17, 2 Li 3.10-3.13, 2 Mn 3.11-3.12
Mg (0.5000, 0.2489, 0.5830)  8 Mg 3.08-3.17, 2 Li 3.10-3.13, 2 Mn 3.11-3.12
Mg (0.0000, 0.7466, 0.4135)  8 Mg 3.04-3.20, 2 Mn 3.05, 2 Li 3.07
Mg (0.0000, 0.2534, 0.4135)  8 Mg 3.04-3.20, 2 Mn 3.05, 2 Li 3.07
Mg (0.0000, 0.0000, 0.6706)  10 Mg 3.04-3.19, 2 Mn 3.04
Mg (0.0000, 0.0000, 0.1683)  2 Li 3.05, 10 Mg 3.08-3.16
Mn (0.5000, 0.5000, 0.3341)  10 Mg 3.04-3.12, 2 Li 3.16
Mn (0.5000, 0.0000, 0.8341)  10 Mg 3.04-3.12, 2 Li 3.16

Density functional theory data (PBE) for a relaxed structure of K2CuSbI6.

Unit cell a=8.3009 b=8.3009 c=8.3009 alpha=60.00 beta=60.00 gamma=60.00
Last column: nearest neighbours and their distance in Å.
Atoms (fractional coordinates):
K (0.2500, 0.2500, 0.2500)  12 I 4.15
K (0.7500, 0.7500, 0.7500)  12 I 4.15
Cu (0.0000, 0.0000, 0.0000)  6 I 2.84
Sb (0.5000, 0.5000, 0.5000)  6 I 3.03
I (0.2416, 0.2416, 0.7584)  1 Cu 2.84, 1 Sb 3.03
I (0.2416, 0.7584, 0.2416)  1 Cu 2.84, 1 Sb 3.03
I (0.2416, 0.7584, 0.7584)  1 Cu 2.84, 1 Sb 3.03
I (0.7584, 0.2416, 0.2416)  1 Cu 2.84, 1 Sb 3.03
I (0.7584, 0.2416, 0.7584)  1 Cu 2.84, 1 Sb 3.03
I (0.7584, 0.7584, 0.2416)  1 Cu 2.84, 1 Sb 3.03

Density functional theory data (PBE) for a relaxed structure of SmZnPd.

Unit cell a=7.4223 b=7.4223 c=3.9483 alpha=90.00 beta=90.00 gamma=120.00
Last column: nearest neighbours and their distance in Å.
Atoms (fractional coordinates):
Sm (0.0000, 0.4080, 0.0000)  5 Pd 2.99-3.03, 6 Zn 3.24-3.30
Sm (0.4080, 0.0000, 0.0000)  5 Pd 2.99-3.03, 6 Zn 3.24-3.30
Sm (0.5920, 0.5920, 0.0000)  5 Pd 2.99-3.03, 6 Zn 3.24-3.30
Zn (0.0000, 0.7549, 0.5000)  4 Pd 2.68-2.86
Zn (0.2451, 0.2451, 0.5000)  4 Pd 2.68-2.86
Zn (0.7549, 0.0000, 0.5000)  4 Pd 2.68-2.86
Pd (0.0000, 0.0000, 0.0000)  6 Zn 2.68
Pd (0.3333, 0.6667, 0.5000)  3 Zn 2.86, 6 Sm 2.99
Pd (0.6667, 0.3333, 0.5000)  3 Zn 2.86, 6 Sm 2.99

Density functional theory data (PBE) for a relaxed structure of MnS2.

Unit cell a=5.8803 b=7.0430 c=6.1097 alpha=90.00 beta=114.63 gamma=90.00
Last column: nearest neighbours and their distance in Å.
Atoms (fractional coordinates):
Mn (0.2116, 0.0635, 0.4680)  4 S 2.16-2.25
Mn (0.2116, 0.4365, 0.9680)  4 S 2.16-2.25
Mn (0.7884, 0.5635, 0.0320)  4 S 2.16-2.25
Mn (0.7884, 0.9365, 0.5320)  4 S 2.16-2.25
S (0.0651, 0.1455, 0.7366)  2 Mn 2.16-2.22
S (0.0651, 0.3545, 0.2366)  2 Mn 2.16-2.22
S (0.4539, 0.0752, 0.2635)  2 Mn 2.20-2.25
S (0.4539, 0.4248, 0.7635)  2 Mn 2.20-2.25
S (0.5461, 0.5752, 0.2365)  2 Mn 2.20-2.25
S (0.5461, 0.9248, 0.7365)  2 Mn 2.20-2.25
S (0.9349, 0.6455, 0.7634)  2 Mn 2.16-2.22
S (0.9349, 0.8545, 0.2634)  2 Mn 2.16-2.22

Density functional theory data (PBE) for a relaxed structure of Ca3AsBr3.

Unit cell a=5.9659 b=5.9659 c=5.9659 alpha=90.00 beta=90.00 gamma=90.00
Last column: nearest neighbours and their distance in Å.
Atoms (fractional coordinates):
Ca (0.0000, 0.0000, 0.5000)  2 As 2.98, 4 Br 2.98
Ca (0.0000, 0.5000, 0.0000)  2 As 2.98, 4 Br 2.98
Ca (0.5000, 0.0000, 0.0000)  2 As 2.98, 4 Br 2.98
As (0.0000, 0.0000, 0.0000)  6 Ca 2.98
Br (0.0000, 0.5000, 0.5000)  4 Ca 2.98
Br (0.5000, 0.0000, 0.5000)  4 Ca 2.98
Br (0.5000, 0.5000, 0.0000)  4 Ca 2.98

Density functional theory data (PBE) for a relaxed structure of CsMn4Cl9.

Unit cell a=9.8793 b=9.8793 c=9.8793 alpha=106.45 beta=106.45 gamma=115.69
Last column: nearest neighbours and their distance in Å.
Atoms (fractional coordinates):
Cs (0.3750, 0.1250, 0.2500)  12 Cl 3.80-3.86
Cs (0.6250, 0.8750, 0.7500)  12 Cl 3.80-3.86
Mn (0.0272, 0.5867, 0.8515)  6 Cl 2.46-2.73
Mn (0.0867, 0.7352, 0.5595)  6 Cl 2.46-2.73
Mn (0.2352, 0.1757, 0.6485)  6 Cl 2.46-2.73
Mn (0.3243, 0.4728, 0.0595)  6 Cl 2.46-2.73
Mn (0.6757, 0.5272, 0.9405)  6 Cl 2.46-2.73
Mn (0.7648, 0.8243, 0.3515)  6 Cl 2.46-2.73
Mn (0.9133, 0.2648, 0.4405)  6 Cl 2.46-2.73
Mn (0.9728, 0.4133, 0.1485)  6 Cl 2.46-2.73
Cl (0.0242, 0.0816, 0.3690)  3 Mn 2.53-2.63
Cl (0.0825, 0.2424, 0.0552)  2 Mn 2.46-2.48
Cl (0.1250, 0.3750, 0.7500)  4 Mn 2.73
Cl (0.1553, 0.5242, 0.4426)  3 Mn 2.53-2.63
Cl (0.2127, 0.6553, 0.1310)  3 Mn 2.53-2.63
Cl (0.2576, 0.8128, 0.8401)  2 Mn 2.46-2.48
Cl (0.3128, 0.9727, 0.5552)  2 Mn 2.46-2.48
Cl (0.4184, 0.2873, 0.9426)  3 Mn 2.53-2.63
Cl (0.4727, 0.4175, 0.6599)  2 Mn 2.46-2.48
Cl (0.5273, 0.5825, 0.3401)  2 Mn 2.46-2.48
Cl (0.5816, 0.7127, 0.0574)  3 Mn 2.53-2.63
Cl (0.6872, 0.0273, 0.4448)  2 Mn 2.46-2.48
Cl (0.7424, 0.1872, 0.1599)  2 Mn 2.46-2.48
Cl (0.7873, 0.3447, 0.8690)  3 Mn 2.53-2.63
Cl (0.8447, 0.4758, 0.5574)  3 Mn 2.53-2.63
Cl (0.8750, 0.6250, 0.2500)  4 Mn 2.73
Cl (0.9175, 0.7576, 0.9448)  2 Mn 2.46-2.48
Cl (0.9758, 0.9184, 0.6310)  3 Mn 2.53-2.63

Total energy: -2.485, -2.645, -4.439, -6.064, -4.014, -5.100 (eV/atom)
Energy of formation: 0.10, -0.91, -0.72, -0.59, -2.02, -1.62 (eV/atom)